(1)
Density functional theory data (PBE) for a geometry-optimized La5Bi3Br structure.

a b c (Å): 9.832 9.832 6.872
angles (deg): 90.00 90.00 120.00
Atoms (fractional coordinates):
La 0.000 0.272 0.250
La 0.000 0.728 0.750
La 0.272 0.000 0.250
La 0.272 0.272 0.750
La 0.333 0.667 0.000
La 0.333 0.667 0.500
La 0.667 0.333 0.000
La 0.667 0.333 0.500
La 0.728 0.000 0.750
La 0.728 0.728 0.250
Bi 0.000 0.383 0.750
Bi 0.000 0.617 0.250
Bi 0.383 0.000 0.750
Bi 0.383 0.383 0.250
Bi 0.617 0.000 0.250
Bi 0.617 0.617 0.750
Br 0.000 0.000 0.000
Br 0.000 0.000 0.500

Output
- symmetry = P6_3/mcm


(2)
Density functional theory data (PBE) for a geometry-optimized MgCd3 structure.

a b c (Å): 7.081 7.081 7.081
angles (deg): 90.00 90.00 90.00
Atoms (fractional coordinates):
Mg 0.000 0.000 0.000
Mg 0.000 0.500 0.500
Mg 0.500 0.000 0.500
Mg 0.500 0.500 0.000
Cd 0.000 0.000 0.500
Cd 0.000 0.500 0.000
Cd 0.250 0.250 0.250
Cd 0.250 0.250 0.750
Cd 0.250 0.750 0.250
Cd 0.250 0.750 0.750
Cd 0.500 0.000 0.000
Cd 0.500 0.500 0.500
Cd 0.750 0.250 0.250
Cd 0.750 0.250 0.750
Cd 0.750 0.750 0.250
Cd 0.750 0.750 0.750

Output
- spin magnetization (μB/cell) = 0.00
- excess energy over the best structure of this formula in the dataset (eV/atom) = 0.063
- symmetry = Fm-3m


(3)
Density functional theory data (PBE) for a geometry-optimized Na7Y2Ga2SiP5O24 structure.

a b c (Å): 9.111 9.124 22.448
angles (deg): 89.70 89.87 60.17
Atoms (fractional coordinates):
Na 0.000 0.000 0.000
Na 0.001 0.637 0.504
Na 0.018 0.305 0.588
Na 0.021 0.305 0.087
Na 0.030 0.928 0.340
Na 0.050 0.601 0.172
Na 0.066 0.967 0.671
Na 0.324 0.333 0.674
Na 0.337 0.962 0.176
Na 0.357 0.994 0.506
Na 0.363 0.631 0.753
Na 0.366 0.270 0.999
Na 0.368 0.620 0.254
Na 0.401 0.930 0.834
Na 0.660 0.296 0.838
Na 0.660 0.669 0.335
Na 0.689 0.975 0.426
Na 0.703 0.328 0.172
Na 0.709 0.959 0.918
Na 0.726 0.269 0.505
Na 0.729 0.622 0.005
Y 0.357 0.629 0.898
Y 0.359 0.627 0.405
Y 0.369 0.635 0.606
Y 0.372 0.628 0.100
Y 0.688 0.971 0.275
Y 0.696 0.964 0.074
Ga 0.021 0.309 0.737
Ga 0.023 0.304 0.933
Ga 0.028 0.302 0.239
Ga 0.032 0.294 0.438
Ga 0.704 0.954 0.771
Ga 0.704 0.960 0.575
Si 0.049 0.945 0.505
Si 0.680 0.323 0.999
Si 0.704 0.649 0.175
P 0.002 0.971 0.175
P 0.020 0.019 0.832
P 0.033 0.578 0.338
P 0.059 0.623 0.003
P 0.310 0.017 0.339
P 0.319 0.289 0.833
P 0.354 0.945 0.999
P 0.364 0.320 0.508
P 0.383 0.270 0.172
P 0.408 0.972 0.674
P 0.673 0.633 0.502
P 0.704 0.245 0.675
P 0.748 0.593 0.834
P 0.749 0.300 0.339
P 0.979 0.672 0.673
O 0.005 0.489 0.679
O 0.018 0.489 0.395
O 0.023 0.129 0.180
O 0.030 0.134 0.497
O 0.045 0.481 0.281
O 0.048 0.106 0.777
O 0.053 0.458 0.993
O 0.127 0.820 0.447
O 0.147 0.662 0.952
O 0.158 0.595 0.061
O 0.159 0.652 0.670
O 0.177 0.862 0.562
O 0.178 0.811 0.169
O 0.183 0.845 0.835
O 0.187 0.606 0.338
O 0.196 0.122 0.992
O 0.202 0.308 0.498
O 0.208 0.104 0.282
O 0.211 0.276 0.181
O 0.213 0.310 0.777
O 0.223 0.115 0.396
O 0.228 0.136 0.676
O 0.232 0.270 0.890
O 0.321 0.870 0.057
O 0.325 0.838 0.339
O 0.327 0.433 0.563
O 0.348 0.442 0.834
O 0.354 0.451 0.168
O 0.379 0.818 0.672
O 0.383 0.829 0.946
O 0.408 0.400 0.455
O 0.455 0.169 0.114
O 0.491 0.989 0.339
O 0.496 0.991 0.617
O 0.499 0.126 0.832
O 0.509 0.184 0.222
O 0.513 0.951 0.731
O 0.514 0.960 0.005
O 0.520 0.141 0.516
O 0.535 0.631 0.172
O 0.541 0.420 0.671
O 0.552 0.412 0.943
O 0.563 0.669 0.446
O 0.567 0.614 0.836
O 0.573 0.462 0.340
O 0.591 0.588 0.554
O 0.602 0.435 0.060
O 0.669 0.774 0.231
O 0.675 0.160 0.731
O 0.683 0.796 0.513
O 0.702 0.134 0.004
O 0.723 0.775 0.829
O 0.731 0.138 0.618
O 0.736 0.137 0.339
O 0.737 0.729 0.114
O 0.834 0.473 0.782
O 0.835 0.315 0.281
O 0.846 0.516 0.893
O 0.851 0.286 0.396
O 0.854 0.478 0.496
O 0.858 0.003 0.829
O 0.861 0.961 0.515
O 0.865 0.312 0.992
O 0.867 0.262 0.679
O 0.871 0.757 0.339
O 0.876 0.463 0.180
O 0.879 0.777 0.006
O 0.880 0.749 0.614
O 0.893 0.003 0.118
O 0.893 0.791 0.726
O 0.917 0.943 0.229
O 0.994 0.126 0.890

Output
- spin magnetization (μB/cell) = 0.00
- symmetry = P1


In the order shown, the computed electronic total energy values come out to -5.307 -1.099 -6.782 eV per atom.
In the order shown, the computed V values come out to 31.96 22.19 13.16 A^3/atom.
In the order shown, the computed calculated formation energy values come out to -1.146 -0.007 -2.806 eV/atom.